Computed, not measured: a relaxed structure of Ba16Ca2HC12N25O4 at the PBE-GGA level of DFT.

Cell lengths 13.7213, 13.7213, 13.7213 Å; angles 43.24, 43.24, 43.24 degrees
Closest atoms and distances in Å follow each position.
Fractional positions:
Ba 0.8495 0.8495 0.8495  1 O 2.44
Ba 0.3513 0.3513 0.3513  1 O 2.53
Ba 0.6487 0.6487 0.6487  1 O 2.53
Ba 0.1505 0.1505 0.1505  1 O 2.44
Ba 0.9998 0.1395 0.7261  1 O 2.60, 2 N 2.70-2.79
Ba 0.4974 0.6492 0.2062  1 O 2.56, 1 N 2.80
Ba 0.7261 0.9998 0.1395  1 O 2.60, 2 N 2.70-2.79
Ba 0.2062 0.4974 0.6492  1 O 2.56, 1 N 2.80
Ba 0.1395 0.7261 0.9998  1 O 2.60, 2 N 2.70-2.79
Ba 0.6492 0.2062 0.4974  1 O 2.56, 1 N 2.80
Ba 0.5026 0.3508 0.7938  1 O 2.56, 1 N 2.80
Ba 0.0002 0.8605 0.2739  1 O 2.60, 2 N 2.70-2.79
Ba 0.7938 0.5026 0.3508  1 O 2.56, 1 N 2.80
Ba 0.2739 0.0002 0.8605  1 O 2.60, 2 N 2.70-2.79
Ba 0.3508 0.7938 0.5026  1 O 2.56, 1 N 2.80
Ba 0.8605 0.2739 0.0002  1 O 2.60, 2 N 2.70-2.79
Ca 0.7495 0.7495 0.7495  6 N 2.44-2.50
Ca 0.2505 0.2505 0.2505  6 N 2.44-2.50
H 0.5000 0.5000 0.5000  6 Ba 2.92, 2 O 3.01
C 0.8527 0.4703 0.0669  2 N 1.24-1.25
C 0.3576 0.9687 0.5614  2 N 1.24
C 0.0669 0.8527 0.4703  2 N 1.24-1.25
C 0.5614 0.3576 0.9687  2 N 1.24
C 0.4703 0.0669 0.8527  2 N 1.24-1.25
C 0.9687 0.5614 0.3576  2 N 1.24
C 0.6424 0.0313 0.4386  2 N 1.24
C 0.1473 0.5297 0.9331  2 N 1.24-1.25
C 0.4386 0.6424 0.0313  2 N 1.24
C 0.9331 0.1473 0.5297  2 N 1.24-1.25
C 0.0313 0.4386 0.6424  2 N 1.24
C 0.5297 0.9331 0.1473  2 N 1.24-1.25
N 0.5543 0.9250 0.8844  1 C 1.24
N 0.0581 0.4216 0.3818  1 C 1.24
N 0.8844 0.5543 0.9250  1 C 1.24
N 0.3818 0.0581 0.4216  1 C 1.24
N 0.9250 0.8844 0.5543  1 C 1.24
N 0.4216 0.3818 0.0581  1 C 1.24
N 0.9419 0.5784 0.6182  1 C 1.24
N 0.4457 0.0750 0.1156  1 C 1.24
N 0.6182 0.9419 0.5784  1 C 1.24
N 0.1156 0.4457 0.0750  1 C 1.24
N 0.5784 0.6182 0.9419  1 C 1.24
N 0.0750 0.1156 0.4457  1 C 1.24
N 0.7024 0.3291 0.8777  1 C 1.24
N 0.2107 0.8151 0.3886  1 C 1.25
N 0.8777 0.7024 0.3291  1 C 1.24
N 0.3886 0.2107 0.8151  1 C 1.25
N 0.3291 0.8777 0.7024  1 C 1.24
N 0.8151 0.3886 0.2107  1 C 1.25
N 0.7893 0.1849 0.6114  1 C 1.25
N 0.2976 0.6709 0.1223  1 C 1.24
N 0.6114 0.7893 0.1849  1 C 1.25
N 0.1223 0.2976 0.6709  1 C 1.24
N 0.1849 0.6114 0.7893  1 C 1.25
N 0.6709 0.1223 0.2976  1 C 1.24
N 0.0000 0.0000 0.0000  6 Ba 2.70
O 0.9151 0.9151 0.9151  4 Ba 2.44-2.60
O 0.4193 0.4193 0.4193  4 Ba 2.53-2.56
O 0.5807 0.5807 0.5807  4 Ba 2.53-2.56
O 0.0849 0.0849 0.0849  4 Ba 2.44-2.60

DFT total energy (eV for the cell shown): -437.644
Crystal system: trigonal
Calculated formation energy (eV per atom): -1.056
Symmetry: No. 148